Entry from the Materials Project database: a geometry-optimized MnO2 structure (PBE+U).

Lattice parameters (Å, degrees): 5.8482 5.8482 28.6384 90.00 90.00 120.00
Atoms (fractional coordinates):
O 0.0000 0.0000 0.4505
O 0.5205 0.0409 0.7109
O 0.6667 0.3333 0.0486
O 0.8219 0.6438 0.1203
O 0.8538 0.7077 0.3774
O 0.2920 0.1460 0.8776
O 0.8538 0.1462 0.3774
O 0.6667 0.3333 0.2845
O 0.8540 0.7080 0.8776
O 0.1460 0.2921 0.7892
O 0.6394 0.8197 0.0495
O 0.7101 0.8551 0.2883
O 0.3746 0.1873 0.6225
O 0.2923 0.1462 0.3774
O 0.5103 0.0206 0.2163
O 0.9591 0.4795 0.7109
O 0.5205 0.4795 0.7109
O 0.5103 0.4897 0.2163
O 0.0000 0.0000 0.7159
O 0.1871 0.3742 0.5442
O 0.4793 0.5207 0.4557
O 0.3333 0.6667 0.8831
O 0.6258 0.8129 0.5442
O 0.0414 0.5207 0.4557
O 0.6667 0.3333 0.7840
O 0.6667 0.3333 0.5492
O 0.8127 0.6254 0.6225
O 0.4793 0.9586 0.4557
O 0.3333 0.6667 0.1187
O 0.1449 0.2899 0.2883
O 0.4887 0.5113 0.9523
O 0.0000 0.0000 0.2126
O 0.1449 0.8551 0.2883
O 0.7079 0.8540 0.7892
O 0.0000 0.0000 0.9512
O 0.3333 0.6667 0.3824
O 0.1460 0.8540 0.7892
O 0.3562 0.1781 0.1203
O 0.8127 0.1873 0.6225
O 0.1871 0.8129 0.5442
O 0.8540 0.1460 0.8776
O 0.3333 0.6667 0.6173
O 0.0225 0.5113 0.9523
O 0.9794 0.4897 0.2163
O 0.4887 0.9775 0.9523
O 0.1803 0.3606 0.0495
O 0.1803 0.8197 0.0495
O 0.8219 0.1781 0.1203
Mn 0.6667 0.3333 0.6665
Mn 0.1669 0.3338 0.9167
Mn 0.6662 0.8331 0.9167
Mn 0.6667 0.3333 0.9779
Mn 0.3335 0.1667 0.7499
Mn 0.8333 0.6665 0.7499
Mn 0.4999 0.9998 0.5832
Mn 0.8295 0.6591 0.2493
Mn 0.4999 0.5001 0.5832
Mn 0.0002 0.5001 0.5832
Mn 0.8295 0.1705 0.2493
Mn 0.0000 0.0000 0.8332
Mn 0.4953 0.5047 0.0831
Mn 0.3333 0.6667 0.4997
Mn 0.1669 0.8331 0.9167
Mn 0.0094 0.5047 0.0831
Mn 0.0000 0.0000 0.1421
Mn 0.1665 0.8335 0.4164
Mn 0.4953 0.9906 0.0831
Mn 0.8333 0.1667 0.7499
Mn 0.0000 0.0000 0.3323
Mn 0.3409 0.1705 0.2493
Mn 0.1665 0.3330 0.4164
Mn 0.6670 0.8335 0.4164

Total magnetic moment, μB/f.u.: 3.0
Formation enthalpy at 0 K, kJ/mol of atoms: -165
E_tot, eV per atom: -7.0494

***

Entry from the Materials Project database: a geometry-optimized NiH8Cl2O4 structure (PBE+U).

Lattice parameters (Å, degrees): 9.3769 5.9679 10.9413 80.10 90.00 90.00
Atoms (fractional coordinates):
H 0.0756 0.8063 0.0636
H 0.0684 0.1808 0.6123
H 0.7999 0.3891 0.5764
H 0.5684 0.3192 0.8877
H 0.4404 0.4143 0.1005
H 0.4316 0.6808 0.1123
H 0.5133 0.1520 0.3172
H 0.2999 0.1109 0.9236
H 0.9867 0.6520 0.8172
H 0.6891 0.9649 0.2083
H 0.3435 0.8763 0.6103
H 0.5596 0.5857 0.8995
H 0.7001 0.8891 0.0764
H 0.9393 0.8517 0.1450
H 0.0596 0.9143 0.6005
H 0.3109 0.0351 0.7917
H 0.4867 0.8480 0.6828
H 0.8435 0.6237 0.8897
H 0.1565 0.3763 0.1103
H 0.9244 0.1937 0.9364
H 0.9316 0.8192 0.3877
H 0.1891 0.5351 0.2917
H 0.6565 0.1237 0.3897
H 0.5756 0.6937 0.4364
H 0.9404 0.0857 0.3995
H 0.2001 0.6109 0.4236
H 0.8109 0.4649 0.7083
H 0.0607 0.1483 0.8550
H 0.5607 0.3517 0.6450
H 0.0133 0.3480 0.1828
H 0.4393 0.6483 0.3550
H 0.4244 0.3063 0.5636
O 0.9875 0.9609 0.3676
O 0.6180 0.1690 0.3043
O 0.5410 0.6127 0.3715
O 0.4590 0.3873 0.6285
O 0.9590 0.1127 0.8715
O 0.2690 0.1522 0.8356
O 0.4875 0.5391 0.1325
O 0.5125 0.4609 0.8676
O 0.7310 0.8478 0.1644
O 0.8820 0.6690 0.8043
O 0.0410 0.8873 0.1285
O 0.7690 0.3478 0.6644
O 0.0125 0.0391 0.6324
O 0.2310 0.6522 0.3356
O 0.3820 0.8310 0.6957
O 0.1180 0.3310 0.1957
Cl 0.6874 0.9075 0.5732
Cl 0.1874 0.5925 0.9268
Cl 0.6389 0.9689 0.8836
Cl 0.8611 0.4689 0.3836
Cl 0.3126 0.0925 0.4268
Cl 0.8126 0.4075 0.0732
Cl 0.1389 0.5311 0.6164
Cl 0.3611 0.0311 0.1164
Ni 0.8284 0.0136 0.7376
Ni 0.6716 0.5136 0.2376
Ni 0.3284 0.4864 0.7624
Ni 0.1716 0.9864 0.2624

Total magnetic moment, μB/f.u.: 2.0
Formation enthalpy at 0 K, kJ/mol of atoms: -111
Energy above the most stable polymorph in this dataset, eV per atom: 0.003
E_tot, eV per atom: -4.5592

***

Entry from the Materials Project database: a geometry-optimized Li6V3P8O29 structure (PBE+U).

Lattice parameters (Å, degrees): 9.7724 9.7992 14.0085 89.91 89.89 60.50
Atoms (fractional coordinates):
O 0.3362 0.9216 0.6588
O 0.2502 0.6608 0.3387
O 0.3805 0.5328 0.8317
O 0.5328 0.0876 0.8306
O 0.0084 0.1981 0.7422
O 0.6174 0.9107 0.6742
O 0.2073 0.8042 0.7578
O 0.4763 0.8935 0.1710
O 0.0762 0.5377 0.3322
O 0.3417 0.3278 0.5245
O 0.6773 0.6646 0.4743
O 0.7720 0.0005 0.5712
O 0.7724 0.2276 0.0703
O 0.4870 0.3281 0.6733
O 0.2295 0.9884 0.0669
O 0.3804 0.0840 0.3311
O 0.0816 0.2562 0.3354
O 0.6620 0.2578 0.8371
O 0.3401 0.4799 0.1746
O 0.0112 0.7884 0.0796
O 0.2191 0.7737 0.9344
O 0.6237 0.4783 0.1687
O 0.9176 0.4674 0.6720
O 0.8042 0.6743 0.8259
O 0.5070 0.8126 0.8345
O 0.6678 0.5150 0.8268
O 0.8157 0.5132 0.3252
O 0.9818 0.8049 0.2586
O 0.0863 0.6562 0.8345
O 0.3472 0.3349 0.0251
O 0.4600 0.6249 0.6667
O 0.2549 0.0810 0.8401
O 0.1882 0.4883 0.6687
O 0.6658 0.0802 0.3421
O 0.1909 0.3346 0.1746
O 0.7751 0.0140 0.9344
O 0.2042 0.9982 0.2489
O 0.5228 0.6670 0.3239
O 0.1987 0.7932 0.5792
O 0.7416 0.9224 0.1552
O 0.0815 0.3769 0.8331
O 0.3231 0.1897 0.6724
O 0.9163 0.3434 0.1582
O 0.9165 0.7452 0.6601
O 0.4872 0.1808 0.1724
O 0.5287 0.3778 0.3325
O 0.0014 0.7778 0.4359
O 0.9919 0.2018 0.9213
O 0.0017 0.2298 0.5643
O 0.8988 0.6306 0.1665
O 0.6621 0.6568 0.9771
O 0.6751 0.8130 0.3259
O 0.3328 0.7409 0.1614
O 0.2091 0.0112 0.4316
O 0.7766 0.2265 0.4308
O 0.7918 0.2093 0.2497
O 0.7968 0.9979 0.7522
O 0.7471 0.3396 0.6556
P 0.3394 0.3328 0.1308
P 0.6727 0.6638 0.3683
P 0.0824 0.6904 0.3449
P 0.3324 0.3345 0.6311
P 0.0827 0.2207 0.8410
P 0.7738 0.9126 0.6609
P 0.7747 0.3166 0.1579
P 0.3053 0.7810 0.6599
P 0.2211 0.0877 0.3411
P 0.6628 0.6677 0.8698
P 0.9114 0.7833 0.1591
P 0.3102 0.9079 0.1573
P 0.6867 0.2261 0.3429
P 0.2259 0.6877 0.8434
P 0.9161 0.3123 0.6548
P 0.6880 0.0896 0.8441
Li 0.0561 0.9571 0.4921
Li 0.3230 0.9104 0.9390
Li 0.9991 0.9998 0.9981
Li 0.7652 0.9038 0.4417
Li 0.6704 0.2342 0.5593
Li 0.0998 0.6634 0.5630
Li 0.9068 0.3320 0.4369
Li 0.6743 0.6617 0.1102
Li 0.2348 0.6651 0.0600
Li 0.6695 0.0957 0.0577
Li 0.7659 0.3236 0.9378
Li 0.2384 0.0968 0.5593
V 0.0047 0.4364 0.2443
V 0.4363 0.5650 0.2563
V 0.5608 0.9993 0.2500
V 0.9978 0.5657 0.7539
V 0.4335 0.0020 0.7514
V 0.5597 0.4410 0.7480

Total magnetic moment, μB/f.u.: 3.0
Formation enthalpy at 0 K, kJ/mol of atoms: -256
Energy above the most stable polymorph in this dataset, eV per atom: 0.006
E_tot, eV per atom: -7.0153

***

Entry from the Materials Project database: a geometry-optimized SrLa4Cr5O15 structure (PBE+U).

Lattice parameters (Å, degrees): 8.7438 8.7438 6.7797 75.14 75.14 36.96
Atoms (fractional coordinates):
Cr 0.0000 0.0000 0.5000
Cr 0.1999 0.1999 0.7009
Cr 0.4003 0.4003 0.9009
Cr 0.8001 0.8001 0.2991
Cr 0.5997 0.5997 0.0991
O 0.3071 0.7952 0.3067
O 0.6929 0.2048 0.6933
O 0.0000 0.5000 0.5000
O 0.5909 0.1015 0.1015
O 0.7952 0.3071 0.3067
O 0.2048 0.6929 0.6933
O 0.3005 0.3005 0.7985
O 0.5000 0.0000 0.5000
O 0.8977 0.8977 0.4084
O 0.5000 0.5000 0.0000
O 0.1015 0.5909 0.1015
O 0.6995 0.6995 0.2015
O 0.4091 0.8985 0.8985
O 0.8985 0.4091 0.8985
O 0.1023 0.1023 0.5916
La 0.1996 0.1996 0.2003
La 0.5985 0.5985 0.6013
La 0.8004 0.8004 0.7997
La 0.4015 0.4015 0.3987
Sr 0.0000 0.0000 0.0000

Total magnetic moment, μB/f.u.: 14.0
Formation enthalpy at 0 K, kJ/mol of atoms: -290
Energy above the most stable polymorph in this dataset, eV per atom: 0.015
E_tot, eV per atom: -7.9547

***

Entry from the Materials Project database: a geometry-optimized Mg3Fe2Ge3O12 structure (PBE+U).

Lattice parameters (Å, degrees): 10.4880 10.4880 10.4880 109.47 109.47 109.47
Atoms (fractional coordinates):
Fe 0.0000 0.0000 0.5000
Fe 0.5000 0.5000 0.0000
Fe 0.0000 0.5000 0.5000
Fe 0.0000 0.0000 0.0000
Fe 0.5000 0.0000 0.5000
Fe 0.5000 0.5000 0.5000
Fe 0.0000 0.5000 0.0000
Fe 0.5000 0.0000 0.0000
O 0.0278 0.3173 0.9003
O 0.2104 0.1274 0.0278
O 0.0830 0.7104 0.6827
O 0.1827 0.4722 0.5997
O 0.6827 0.0830 0.7104
O 0.3726 0.5830 0.9003
O 0.9170 0.2896 0.3173
O 0.4170 0.0997 0.6274
O 0.4722 0.5997 0.1827
O 0.1827 0.2104 0.5830
O 0.0278 0.2104 0.1274
O 0.9722 0.7896 0.8726
O 0.2104 0.5830 0.1827
O 0.0997 0.9722 0.6827
O 0.3173 0.9003 0.0278
O 0.8726 0.9722 0.7896
O 0.9003 0.3726 0.5830
O 0.6274 0.4170 0.0997
O 0.8726 0.4003 0.0830
O 0.9003 0.0278 0.3173
O 0.7896 0.8726 0.9722
O 0.5830 0.1827 0.2104
O 0.6827 0.0997 0.9722
O 0.6274 0.7104 0.5278
O 0.9170 0.1274 0.5997
O 0.5997 0.1827 0.4722
O 0.4003 0.8173 0.5278
O 0.8173 0.7896 0.4170
O 0.7104 0.6827 0.0830
O 0.1274 0.5997 0.9170
O 0.5997 0.9170 0.1274
O 0.5830 0.9003 0.3726
O 0.5278 0.4003 0.8173
O 0.9722 0.6827 0.0997
O 0.0830 0.8726 0.4003
O 0.5278 0.6274 0.7104
O 0.4003 0.0830 0.8726
O 0.8173 0.5278 0.4003
O 0.2896 0.3173 0.9170
O 0.2896 0.4722 0.3726
O 0.4170 0.8173 0.7896
O 0.3726 0.2896 0.4722
O 0.4722 0.3726 0.2896
O 0.1274 0.0278 0.2104
O 0.7896 0.4170 0.8173
O 0.7104 0.5278 0.6274
O 0.3173 0.9170 0.2896
O 0.0997 0.6274 0.4170
Mg 0.3750 0.7500 0.1250
Mg 0.1250 0.3750 0.7500
Mg 0.2500 0.8750 0.6250
Mg 0.8750 0.6250 0.2500
Mg 0.6250 0.8750 0.7500
Mg 0.2500 0.3750 0.1250
Mg 0.7500 0.1250 0.3750
Mg 0.3750 0.1250 0.2500
Mg 0.8750 0.7500 0.6250
Mg 0.7500 0.6250 0.8750
Mg 0.6250 0.2500 0.8750
Mg 0.1250 0.2500 0.3750
Ge 0.3750 0.6250 0.7500
Ge 0.2500 0.6250 0.3750
Ge 0.7500 0.3750 0.6250
Ge 0.1250 0.7500 0.8750
Ge 0.1250 0.8750 0.2500
Ge 0.8750 0.1250 0.7500
Ge 0.8750 0.2500 0.1250
Ge 0.6250 0.3750 0.2500
Ge 0.6250 0.7500 0.3750
Ge 0.3750 0.2500 0.6250
Ge 0.7500 0.8750 0.1250
Ge 0.2500 0.1250 0.8750

Total magnetic moment, μB/f.u.: 10.0
Formation enthalpy at 0 K, kJ/mol of atoms: -220
E_tot, eV per atom: -6.3950

***

Entry from the Materials Project database: a geometry-optimized YErFe2O6 structure (PBE+U).

Lattice parameters (Å, degrees): 5.3227 5.6361 7.7084 90.00 90.00 90.00
Atoms (fractional coordinates):
O 0.9414 0.1935 0.3132
O 0.4413 0.3055 0.8088
O 0.0586 0.6935 0.6868
O 0.0586 0.6935 0.3132
O 0.4413 0.3055 0.1912
O 0.1342 0.9565 0.0000
O 0.5587 0.8055 0.8088
O 0.3719 0.0473 0.5000
O 0.6281 0.5473 0.5000
O 0.8658 0.4565 0.0000
O 0.5587 0.8055 0.1912
O 0.9414 0.1935 0.6868
Er 0.2305 0.4302 0.5000
Er 0.7695 0.9302 0.5000
Y 0.7296 0.0684 0.0000
Y 0.2704 0.5684 0.0000
Fe 0.2505 0.9998 0.7487
Fe 0.7495 0.4998 0.7487
Fe 0.7495 0.4998 0.2513
Fe 0.2505 0.9998 0.2513

Total magnetic moment, μB/f.u.: 10.0
Formation enthalpy at 0 K, kJ/mol of atoms: -275
E_tot, eV per atom: -7.7480

***

Entry from the Materials Project database: a geometry-optimized Li7Mn5O12 structure (PBE+U).

Lattice parameters (Å, degrees): 5.0803 7.7995 6.0192 103.77 91.43 107.13
Atoms (fractional coordinates):
O 0.7759 0.8318 0.7206
O 0.2137 0.1589 0.8162
O 0.7669 0.4970 0.3876
O 0.7639 0.1588 0.0609
O 0.7803 0.5070 0.8799
O 0.7863 0.8411 0.1838
O 0.2339 0.8192 0.4474
O 0.2361 0.8412 0.9391
O 0.2241 0.1682 0.2794
O 0.7661 0.1808 0.5526
O 0.2331 0.5030 0.6124
O 0.2197 0.4930 0.1201
Mn 0.9934 0.3272 0.3403
Mn 0.0000 0.0000 0.0000
Mn 0.0039 0.6717 0.1674
Mn 0.0066 0.6728 0.6597
Mn 0.9961 0.3283 0.8326
Li 0.4897 0.9992 0.7366
Li 0.5020 0.3325 0.5790
Li 0.4980 0.6675 0.4210
Li 0.5103 0.0008 0.2634
Li 0.0000 0.0000 0.5000
Li 0.5133 0.6715 0.9115
Li 0.4867 0.3285 0.0885

Total magnetic moment, μB/f.u.: 18.0
Formation enthalpy at 0 K, kJ/mol of atoms: -205
Energy above the most stable polymorph in this dataset, eV per atom: 0.033
E_tot, eV per atom: -6.3723

***

Entry from the Materials Project database: a geometry-optimized LiV3O4 structure (PBE+U).

Lattice parameters (Å, degrees): 5.2961 6.0363 5.3000 90.00 110.56 90.00
Atoms (fractional coordinates):
V 0.5000 0.9982 0.5000
V 0.0000 0.5054 0.0000
V 0.5000 0.7492 0.0000
V 0.0000 0.2501 0.5000
V 0.0000 0.7479 0.5000
V 0.5000 0.2501 0.0000
O 0.7396 0.2412 0.7431
O 0.2415 0.5072 0.7439
O 0.2604 0.2412 0.2569
O 0.7460 0.7588 0.7380
O 0.7521 0.9921 0.2630
O 0.7585 0.5073 0.2561
O 0.2540 0.7588 0.2620
O 0.2479 0.9921 0.7370
Li 0.5000 0.4948 0.5000
Li 0.0000 0.0055 0.0000

Total magnetic moment, μB/f.u.: 0.0
Formation enthalpy at 0 K, kJ/mol of atoms: -220
Energy above the most stable polymorph in this dataset, eV per atom: 0.005
E_tot, eV per atom: -7.4218